*one*
! PBE UW4C4, relaxed; values from VASP
&SYSTEM
  ibrav = 0, nat = 18, ntyp = 3
/
ATOMIC_SPECIES
U 238.03 U.upf
W 183.84 W.upf
C 12.01 C.upf
ATOMIC_POSITIONS crystal
U 0.0000 0.0000 0.0000
U 0.5000 0.5000 0.5000
W 0.1212 0.6597 0.5000
W 0.1748 0.3618 0.0000
W 0.3403 0.1212 0.5000
W 0.3618 0.8252 0.0000
W 0.6382 0.1748 0.0000
W 0.6597 0.8788 0.5000
W 0.8252 0.6382 0.0000
W 0.8788 0.3403 0.5000
C 0.1006 0.2090 0.5000
C 0.2090 0.8994 0.5000
C 0.2802 0.5899 0.0000
C 0.4101 0.2802 0.0000
C 0.5899 0.7198 0.0000
C 0.7198 0.4101 0.0000
C 0.7910 0.1006 0.5000
C 0.8994 0.7910 0.5000
CELL_PARAMETERS angstrom
8.4145 0.0000 0.0000
0.0000 8.4145 0.0000
0.0000 0.0000 3.1313
! **Magnetization**: 0.0205 μB per atom

=====

*two*
! PBE UW4C4, relaxed; values from VASP
&SYSTEM
  ibrav = 0, nat = 18, ntyp = 3
/
ATOMIC_SPECIES
U 238.03 U.upf
W 183.84 W.upf
C 12.01 C.upf
ATOMIC_POSITIONS crystal
U 0.0000 0.0000 0.0000
U 0.5000 0.5000 0.5000
W 0.1133 0.3467 0.5000
W 0.1813 0.6453 0.0000
W 0.3467 0.8867 0.5000
W 0.3547 0.1813 0.0000
W 0.6453 0.8187 0.0000
W 0.6533 0.1133 0.5000
W 0.8187 0.3547 0.0000
W 0.8867 0.6533 0.5000
C 0.1057 0.7945 0.5000
C 0.2055 0.1057 0.5000
C 0.2739 0.4152 0.0000
C 0.4152 0.7261 0.0000
C 0.5848 0.2739 0.0000
C 0.7261 0.5848 0.0000
C 0.7945 0.8943 0.5000
C 0.8943 0.2055 0.5000
CELL_PARAMETERS angstrom
8.4102 0.0000 0.0000
0.0000 8.4102 0.0000
0.0000 0.0000 3.1368
! **Magnetization**: 0.0809 μB per atom

=====

The most stable of them is *two*.

=====

*one*
! PBE YC, relaxed; values from VASP
&SYSTEM
  ibrav = 0, nat = 2, ntyp = 2
/
ATOMIC_SPECIES
Y 88.91 Y.upf
C 12.01 C.upf
ATOMIC_POSITIONS crystal
Y 0.0000 0.0000 0.0000
C 0.5000 0.5000 0.5000
CELL_PARAMETERS angstrom
3.1104 0.0000 0.0000
0.0000 3.1104 0.0000
0.0000 0.0000 3.1104
! **Magnetization**: 0.1254 μB per atom

=====

*two*
! PBE YC, relaxed; values from VASP
&SYSTEM
  ibrav = 0, nat = 2, ntyp = 2
/
ATOMIC_SPECIES
Y 88.91 Y.upf
C 12.01 C.upf
ATOMIC_POSITIONS crystal
Y 0.0000 0.0000 0.0000
C 0.5000 0.5000 0.5000
CELL_PARAMETERS angstrom
0.0000 2.5469 2.5469
2.5469 0.0000 2.5469
2.5469 2.5469 0.0000
! **Magnetization**: 0.0003 μB per atom

=====

The most stable of them is *two*.

=====

*one*
VASP calculation (PBE) on a relaxed structure of Ca. Values from VASP.

Geometry as Quantum ESPRESSO input:
```
&SYSTEM
  ibrav = 0, nat = 2, ntyp = 1
/
ATOMIC_SPECIES
Ca 40.08 Ca.upf
ATOMIC_POSITIONS crystal
Ca 0.3333 0.6667 0.2500
Ca 0.6667 0.3333 0.7500
CELL_PARAMETERS angstrom
3.8966 0.0000 0.0000
-1.9483 3.3746 0.0000
0.0000 0.0000 6.4513
```

=====

*two*
VASP calculation (PBE) on a relaxed structure of Ca. Values from VASP.

Geometry as Quantum ESPRESSO input:
```
&SYSTEM
  ibrav = 0, nat = 4, ntyp = 1
/
ATOMIC_SPECIES
Ca 40.08 Ca.upf
ATOMIC_POSITIONS crystal
Ca 0.1698 0.6698 0.8395
Ca 0.3302 0.1698 0.5000
Ca 0.6698 0.8302 0.5000
Ca 0.8302 0.3302 0.1605
CELL_PARAMETERS angstrom
-3.7280 3.7280 3.2636
3.7280 -3.7280 3.2636
3.7280 3.7280 -3.2636
```

=====

*three*
VASP calculation (PBE) on a relaxed structure of Ca. Values from VASP.

Geometry as Quantum ESPRESSO input:
```
&SYSTEM
  ibrav = 0, nat = 1, ntyp = 1
/
ATOMIC_SPECIES
Ca 40.08 Ca.upf
ATOMIC_POSITIONS crystal
Ca 0.0000 0.0000 0.0000
CELL_PARAMETERS angstrom
0.0000 2.7537 2.7537
2.7537 0.0000 2.7537
2.7537 2.7537 0.0000
```

=====

The most stable of them is *three*.

=====

*one*
! PBE Ca, relaxed; values from VASP
&SYSTEM
  ibrav = 0, nat = 4, ntyp = 1
/
ATOMIC_SPECIES
Ca 40.08 Ca.upf
ATOMIC_POSITIONS crystal
Ca 0.1607 0.8393 0.8030
Ca 0.3393 0.6607 0.3030
Ca 0.6607 0.3393 0.6970
Ca 0.8393 0.1607 0.1970
CELL_PARAMETERS angstrom
3.4681 -3.5945 0.0000
3.4681 3.5945 0.0000
0.0000 0.0000 6.9892
! **Magnetization**: 0.0413 μB per atom

=====

*two*
! PBE Ca, relaxed; values from VASP
&SYSTEM
  ibrav = 0, nat = 8, ntyp = 1
/
ATOMIC_SPECIES
Ca 40.08 Ca.upf
ATOMIC_POSITIONS crystal
Ca 0.0071 0.4834 0.1876
Ca 0.0166 0.5071 0.4376
Ca 0.4834 0.0071 0.8124
Ca 0.4929 0.9834 0.0624
Ca 0.5071 0.0166 0.5624
Ca 0.5166 0.9929 0.3124
Ca 0.9834 0.4929 0.9376
Ca 0.9929 0.5166 0.6876
CELL_PARAMETERS angstrom
4.5614 0.0000 0.0000
0.0000 4.5614 0.0000
0.0000 0.0000 16.0314
! **Magnetization**: 0.0083 μB per atom

=====

*three*
VASP calculation (PBE) on a relaxed structure of Ca. Values from VASP.

Geometry as Quantum ESPRESSO input:
```
&SYSTEM
  ibrav = 0, nat = 4, ntyp = 1
/
ATOMIC_SPECIES
Ca 40.08 Ca.upf
ATOMIC_POSITIONS crystal
Ca 0.0000 0.0000 0.0000
Ca 0.0000 0.0000 0.5000
Ca 0.3333 0.6667 0.2500
Ca 0.6667 0.3333 0.7500
CELL_PARAMETERS angstrom
3.8856 0.0000 0.0000
-1.9428 3.3650 0.0000
0.0000 0.0000 12.8206
```

=====

*four*
VASP calculation (PBE) on a relaxed structure of Ca. Values from VASP.

Geometry as Quantum ESPRESSO input:
```
&SYSTEM
  ibrav = 0, nat = 1, ntyp = 1
/
ATOMIC_SPECIES
Ca 40.08 Ca.upf
ATOMIC_POSITIONS crystal
Ca 0.0000 0.0000 0.0000
CELL_PARAMETERS angstrom
-2.0850 2.0850 2.4071
2.0850 -2.0850 2.4071
2.0850 2.0850 -2.4071
```

=====

The most stable of them is *three*.

=====

*one*
VASP calculation (PBE) on a relaxed structure of Ca. Values from VASP.

Geometry as Quantum ESPRESSO input:
```
&SYSTEM
  ibrav = 0, nat = 1, ntyp = 1
/
ATOMIC_SPECIES
Ca 40.08 Ca.upf
ATOMIC_POSITIONS crystal
Ca 0.0000 0.0000 0.0000
CELL_PARAMETERS angstrom
-2.1928 2.1928 2.1928
2.1928 -2.1928 2.1928
2.1928 2.1928 -2.1928
```

=====

*two*
VASP calculation (PBE) on a relaxed structure of Ca. Values from VASP.

Geometry as Quantum ESPRESSO input:
```
&SYSTEM
  ibrav = 0, nat = 2, ntyp = 1
/
ATOMIC_SPECIES
Ca 40.08 Ca.upf
ATOMIC_POSITIONS crystal
Ca 0.1590 0.8410 0.7500
Ca 0.8410 0.1590 0.2500
CELL_PARAMETERS angstrom
1.9460 -3.3932 0.0000
1.9460 3.3932 0.0000
0.0000 0.0000 6.4304
```

=====

*three*
! PBE Ca, relaxed; values from VASP
&SYSTEM
  ibrav = 0, nat = 1, ntyp = 1
/
ATOMIC_SPECIES
Ca 40.08 Ca.upf
ATOMIC_POSITIONS crystal
Ca 0.0000 0.0000 0.0000
CELL_PARAMETERS angstrom
3.5218 0.0000 0.0000
0.0000 3.5218 0.0000
0.0000 0.0000 3.5218
! **Magnetization**: 0.0000 μB per atom

=====

The most stable of them is *two*.

=====

*one*
! PBE CaMg6CdO8, relaxed; values from VASP
&SYSTEM
  ibrav = 0, nat = 16, ntyp = 4
/
ATOMIC_SPECIES
Ca 40.08 Ca.upf
Mg 24.30 Mg.upf
Cd 112.41 Cd.upf
O 16.00 O.upf
ATOMIC_POSITIONS crystal
Ca 0.0000 0.0000 0.0000
Mg 0.0000 0.5000 0.2508
Mg 0.0000 0.5000 0.7492
Mg 0.5000 0.0000 0.2508
Mg 0.5000 0.0000 0.7492
Mg 0.5000 0.5000 0.0000
Mg 0.5000 0.5000 0.5000
Cd 0.0000 0.0000 0.5000
O 0.0000 0.0000 0.2484
O 0.0000 0.0000 0.7516
O 0.0000 0.5000 0.0000
O 0.0000 0.5000 0.5000
O 0.5000 0.0000 0.0000
O 0.5000 0.0000 0.5000
O 0.5000 0.5000 0.2502
O 0.5000 0.5000 0.7498
CELL_PARAMETERS angstrom
4.4536 0.0000 0.0000
0.0000 4.4536 0.0000
0.0000 0.0000 8.8926
! **Magnetization**: 0.0000 μB per atom

=====

*two*
! PBE CaMg6CdO8, relaxed; values from VASP
&SYSTEM
  ibrav = 0, nat = 16, ntyp = 4
/
ATOMIC_SPECIES
Ca 40.08 Ca.upf
Mg 24.30 Mg.upf
Cd 112.41 Cd.upf
O 16.00 O.upf
ATOMIC_POSITIONS crystal
Ca 0.0000 0.0000 0.0000
Mg 0.0000 0.0000 0.5000
Mg 0.0000 0.5000 0.2628
Mg 0.0000 0.5000 0.7372
Mg 0.5000 0.0000 0.2628
Mg 0.5000 0.0000 0.7372
Mg 0.5000 0.5000 0.5000
Cd 0.5000 0.5000 0.0000
O 0.0000 0.0000 0.2652
O 0.0000 0.0000 0.7348
O 0.0000 0.5000 0.0000
O 0.0000 0.5000 0.5000
O 0.5000 0.0000 0.0000
O 0.5000 0.0000 0.5000
O 0.5000 0.5000 0.2678
O 0.5000 0.5000 0.7322
CELL_PARAMETERS angstrom
4.4581 0.0000 0.0000
0.0000 4.4581 0.0000
0.0000 0.0000 8.8029
! **Magnetization**: 0.0000 μB per atom

=====

The most stable of them is *two*.

=====

*one*
! PBE CaCeMg6, relaxed; values from VASP
&SYSTEM
  ibrav = 0, nat = 8, ntyp = 3
/
ATOMIC_SPECIES
Ca 40.08 Ca.upf
Ce 140.12 Ce.upf
Mg 24.30 Mg.upf
ATOMIC_POSITIONS crystal
Ca 0.0000 0.0000 0.0000
Ce 0.0000 0.4935 0.4935
Mg 0.0000 0.5177 0.9975
Mg 0.0000 0.9975 0.5177
Mg 0.5000 0.1785 0.6682
Mg 0.5000 0.1991 0.1991
Mg 0.5000 0.6682 0.1785
Mg 0.5000 0.6907 0.6907
CELL_PARAMETERS angstrom
5.3368 0.0000 0.0000
0.0000 3.7103 5.6277
0.0000 -3.7103 5.6277
! **Magnetization**: 0.1410 μB per atom

=====

*two*
! PBE CaCeMg6, relaxed; values from VASP
&SYSTEM
  ibrav = 0, nat = 8, ntyp = 3
/
ATOMIC_SPECIES
Ca 40.08 Ca.upf
Ce 140.12 Ce.upf
Mg 24.30 Mg.upf
ATOMIC_POSITIONS crystal
Ca 0.0000 0.0000 0.0000
Ce 0.5000 0.8118 0.8118
Mg 0.0000 0.4909 0.9924
Mg 0.0000 0.4935 0.4935
Mg 0.0000 0.9924 0.4909
Mg 0.5000 0.3171 0.3171
Mg 0.5000 0.3239 0.8249
Mg 0.5000 0.8249 0.3239
CELL_PARAMETERS angstrom
5.3331 0.0000 0.0000
0.0000 3.3980 5.6252
0.0000 -3.3980 5.6252
! **Magnetization**: 0.1718 μB per atom

=====

The most stable of them is *one*.

=====

*one*
VASP calculation (PBE) on a relaxed structure of CaH8Cl2O4. Values from VASP.

Geometry as Quantum ESPRESSO input:
```
&SYSTEM
  ibrav = 0, nat = 90, ntyp = 4
/
ATOMIC_SPECIES
Ca 40.08 Ca.upf
H 1.01 H.upf
Cl 35.45 Cl.upf
O 16.00 O.upf
ATOMIC_POSITIONS crystal
Ca 0.0000 0.0000 0.0000
Ca 0.0000 0.5000 0.5000
Ca 0.2607 0.0474 0.6369
Ca 0.2607 0.4526 0.1369
Ca 0.7393 0.5474 0.8631
Ca 0.7393 0.9526 0.3631
H 0.0544 0.6851 0.1429
H 0.0544 0.8149 0.6429
H 0.1114 0.5423 0.8814
H 0.1114 0.9577 0.3814
H 0.1141 0.6599 0.9565
H 0.1141 0.8401 0.4565
H 0.1605 0.6578 0.2740
H 0.1605 0.8422 0.7740
H 0.1913 0.1782 0.8313
H 0.1914 0.2112 0.2489
H 0.1914 0.2888 0.7489
H 0.1913 0.3218 0.3313
H 0.3867 0.6488 0.7869
H 0.3867 0.8512 0.2869
H 0.3927 0.5513 0.3797
H 0.3927 0.9487 0.8797
H 0.4277 0.6749 0.0602
H 0.4277 0.8251 0.5602
H 0.4379 0.0664 0.3845
H 0.4379 0.4336 0.8845
H 0.4533 0.5220 0.6157
H 0.4533 0.9780 0.1157
H 0.4932 0.7229 0.3141
H 0.4932 0.7771 0.8141
H 0.5068 0.2229 0.1859
H 0.5068 0.2771 0.6859
H 0.5467 0.0220 0.8843
H 0.5467 0.4780 0.3843
H 0.5621 0.5664 0.1155
H 0.5621 0.9336 0.6155
H 0.5723 0.1749 0.4398
H 0.5723 0.3251 0.9398
H 0.6073 0.0513 0.1203
H 0.6073 0.4487 0.6203
H 0.6133 0.1488 0.7131
H 0.6133 0.3512 0.2131
H 0.8087 0.6782 0.6687
H 0.8086 0.7112 0.2511
H 0.8086 0.7888 0.7511
H 0.8087 0.8218 0.1687
H 0.8395 0.1578 0.2260
H 0.8395 0.3422 0.7260
H 0.8859 0.1599 0.5435
H 0.8859 0.3401 0.0435
H 0.8886 0.0423 0.6186
H 0.8886 0.4577 0.1186
H 0.9456 0.1851 0.3571
H 0.9456 0.3149 0.8571
Cl 0.1536 0.2252 0.9875
Cl 0.1536 0.2748 0.4875
Cl 0.1755 0.5026 0.7375
Cl 0.1755 0.9974 0.2375
Cl 0.2478 0.6407 0.4716
Cl 0.2478 0.8593 0.9716
Cl 0.7522 0.1407 0.0284
Cl 0.7522 0.3593 0.5284
Cl 0.8245 0.0026 0.7625
Cl 0.8245 0.4974 0.2625
Cl 0.8464 0.7252 0.5125
Cl 0.8464 0.7748 0.0125
O 0.0894 0.5661 0.9480
O 0.0894 0.9339 0.4480
O 0.1541 0.6404 0.1973
O 0.1541 0.8596 0.6973
O 0.2005 0.1934 0.7592
O 0.2005 0.3066 0.2592
O 0.4457 0.5844 0.0871
O 0.4457 0.9156 0.5871
O 0.4544 0.5328 0.3343
O 0.4544 0.9672 0.8343
O 0.4991 0.6813 0.8165
O 0.4991 0.8187 0.3165
O 0.5009 0.1813 0.6835
O 0.5009 0.3187 0.1835
O 0.5456 0.0328 0.1657
O 0.5456 0.4672 0.6657
O 0.5543 0.0844 0.4129
O 0.5543 0.4156 0.9129
O 0.7995 0.6934 0.7408
O 0.7995 0.8066 0.2408
O 0.8459 0.1404 0.3027
O 0.8459 0.3596 0.8027
O 0.9106 0.0661 0.5520
O 0.9106 0.4339 0.0520
CELL_PARAMETERS angstrom
9.0391 0.0000 0.0000
0.0000 10.2664 0.0000
-5.4942 0.0000 11.6735
```

=====

*two*
VASP calculation (PBE) on a relaxed structure of CaH8Cl2O4. Values from VASP.

Geometry as Quantum ESPRESSO input:
```
&SYSTEM
  ibrav = 0, nat = 30, ntyp = 4
/
ATOMIC_SPECIES
Ca 40.08 Ca.upf
H 1.01 H.upf
Cl 35.45 Cl.upf
O 16.00 O.upf
ATOMIC_POSITIONS crystal
Ca 0.0000 0.0000 0.0000
Ca 0.0000 0.5000 0.5000
H 0.0962 0.0716 0.3521
H 0.0962 0.4284 0.8521
H 0.1097 0.0601 0.6946
H 0.1097 0.4399 0.1946
H 0.4177 0.7016 0.7030
H 0.4177 0.7984 0.2030
H 0.4189 0.7284 0.5305
H 0.4189 0.7716 0.0305
H 0.5811 0.2284 0.9695
H 0.5811 0.2716 0.4695
H 0.5823 0.2016 0.7970
H 0.5823 0.2984 0.2970
H 0.8903 0.5601 0.8054
H 0.8903 0.9399 0.3054
H 0.9038 0.5716 0.1479
H 0.9038 0.9284 0.6479
Cl 0.2983 0.2160 0.5660
Cl 0.2983 0.2840 0.0660
Cl 0.7017 0.7160 0.9340
Cl 0.7017 0.7840 0.4340
O 0.0068 0.5048 0.2387
O 0.0068 0.9952 0.7387
O 0.3180 0.6912 0.5903
O 0.3180 0.8088 0.0903
O 0.6820 0.1912 0.9097
O 0.6820 0.3088 0.4097
O 0.9932 0.0048 0.2613
O 0.9932 0.4952 0.7613
CELL_PARAMETERS angstrom
6.0895 0.0000 0.0000
0.0000 7.7941 0.0000
-3.0466 0.0000 8.4035
```

=====

The most stable of them is *two*.